1.
VASP calculation (PBE with a Hubbard U) on Rb2LiNd2W4O16 after structural relaxation.

abc: 7.925 7.925 7.619
angles: 117.98 117.98 88.62
Sites, in units of the cell vectors:
Rb1 0.000 0.000 0.000
Rb2 0.583 0.417 0.500
Li1 0.287 0.713 0.000
Nd1 0.022 0.978 0.500
Nd2 0.572 0.428 0.000
W1 0.089 0.512 0.541
W2 0.100 0.495 0.049
W3 0.488 0.911 0.459
W4 0.505 0.900 0.951
O1 0.030 0.248 0.439
O2 0.037 0.563 0.797
O3 0.158 0.265 0.885
O4 0.161 0.457 0.310
O5 0.172 0.792 0.277
O6 0.208 0.828 0.723
O7 0.380 0.584 0.789
O8 0.416 0.620 0.211
O9 0.429 0.142 0.617
O10 0.437 0.963 0.203
O11 0.543 0.839 0.690
O12 0.562 0.166 0.059
O13 0.735 0.842 0.115
O14 0.752 0.970 0.561
O15 0.834 0.438 0.941
O16 0.858 0.571 0.383

## Properties
density	6.7	g/cm³
energy relative to the elements	-2.55	eV per atom
energy above the lowest structure with this stoichiometry	0.039	eV per atom

---

2.
VASP calculation (PBE with a Hubbard U) on Rb2LiNd2W4O16 after structural relaxation.

abc: 7.548 7.647 8.122
angles: 88.61 63.97 61.58
Sites, in units of the cell vectors:
Rb1 0.000 0.000 0.000
Rb2 0.495 0.416 0.594
Li1 0.308 0.296 0.270
Nd1 0.518 0.953 0.988
Nd2 0.961 0.462 0.622
W1 0.038 0.893 0.489
W2 0.449 0.532 0.103
W3 0.537 0.903 0.479
W4 0.953 0.509 0.117
O1 0.052 0.446 0.862
O2 0.142 0.259 0.155
O3 0.174 0.592 0.064
O4 0.216 0.570 0.385
O5 0.271 0.844 0.220
O6 0.317 0.827 0.532
O7 0.358 0.163 0.452
O8 0.454 0.971 0.728
O9 0.555 0.252 0.042
O10 0.598 0.615 0.879
O11 0.705 0.458 0.167
O12 0.705 0.812 0.182
O13 0.786 0.612 0.420
O14 0.805 0.960 0.425
O15 0.895 0.823 0.714
O16 0.935 0.162 0.577

## Properties
density	6.7	g/cm³
energy relative to the elements	-2.57	eV per atom
energy above the lowest structure with this stoichiometry	0.023	eV per atom